1.
Compound: Nb5Sb4
Source: Materials Project
Functional: PBE
Structure: relaxed

Cell lengths 7.5729, 7.5729, 7.5729 Å; angles 92.88, 92.88, 154.11 degrees
Last column: nearest neighbours and their distance in Å.
Element x y z (fractional)
Nb1 0.9538 0.6556 0.6095  5 Sb 2.89-3.09, 4 Nb 2.94
Nb2 0.3444 0.9538 0.2982  5 Sb 2.89-3.09, 4 Nb 2.94
Nb3 0.0000 0.0000 0.0000  8 Sb 2.88
Nb4 0.0462 0.3444 0.3905  5 Sb 2.89-3.09, 4 Nb 2.94
Nb5 0.6556 0.0462 0.7018  5 Sb 2.89-3.09, 4 Nb 2.94
Sb1 0.6353 0.3222 0.9575  7 Nb 2.88-3.09
Sb2 0.6778 0.6353 0.3131  7 Nb 2.88-3.09
Sb3 0.3647 0.6778 0.0425  7 Nb 2.88-3.09
Sb4 0.3222 0.3647 0.6869  7 Nb 2.88-3.09

Computed properties:
Total magnetization in μB per cell: 0.0
Energy above the most stable polymorph in this dataset in eV/atom: 0.261
Symmetry: I4/m (87)

---

2.
Compound: Nb12Sn3Sb
Source: Materials Project
Functional: PBE
Structure: relaxed

Cell lengths 5.3217, 5.3353, 10.6423 Å; angles 90.00, 90.00, 90.00 degrees
Last column: nearest neighbours and their distance in Å.
Element x y z (fractional)
Nb1 0.0000 0.5000 0.3775  2 Nb 2.61-2.72
Nb2 0.0000 0.5000 0.8785  2 Nb 2.59-2.72
Nb3 0.5000 0.2448 0.0000  2 Nb 2.61-2.72
Nb4 0.5000 0.2462 0.5000  2 Nb 2.63-2.71
Nb5 0.7548 0.0000 0.2507  2 Nb 2.61-2.71
Nb6 0.7548 0.0000 0.7493  2 Nb 2.61-2.71
Nb7 0.0000 0.5000 0.1215  2 Nb 2.59-2.72
Nb8 0.0000 0.5000 0.6225  2 Nb 2.61-2.72
Nb9 0.5000 0.7552 0.0000  2 Nb 2.61-2.72
Nb10 0.5000 0.7538 0.5000  2 Nb 2.63-2.71
Nb11 0.2452 0.0000 0.2507  2 Nb 2.61-2.71
Nb12 0.2452 0.0000 0.7493  2 Nb 2.61-2.71
Sn1 0.5000 0.5000 0.2501  12 Nb 2.98-2.99
Sn2 0.5000 0.5000 0.7499  12 Nb 2.98-2.99
Sn3 0.0000 0.0000 0.0000  12 Nb 2.96-2.97
Sb1 0.0000 0.0000 0.5000  12 Nb 2.96-2.97

Computed properties:
Symmetry: Pmmm (47)

---

3.
Compound: U3NbSb5
Source: Materials Project
Functional: PBE
Structure: relaxed

Cell lengths 9.1593, 9.1593, 6.1101 Å; angles 90.00, 90.00, 120.00 degrees
Last column: nearest neighbours and their distance in Å.
Element x y z (fractional)
U1 0.0000 0.6141 0.2500  9 Sb 3.14-3.24
U2 0.0000 0.3859 0.7500  9 Sb 3.14-3.24
U3 0.3859 0.0000 0.7500  9 Sb 3.14-3.24
U4 0.3859 0.3859 0.2500  9 Sb 3.14-3.24
U5 0.6141 0.0000 0.2500  9 Sb 3.14-3.24
U6 0.6141 0.6141 0.7500  9 Sb 3.14-3.24
Nb1 0.0000 0.0000 0.0000  6 Sb 2.89, 2 Nb 3.06
Nb2 0.0000 0.0000 0.5000  6 Sb 2.89, 2 Nb 3.06
Sb1 0.6667 0.3333 0.0000  2 Sb 3.06, 6 U 3.23
Sb2 0.7325 0.0000 0.7500  2 Nb 2.89, 3 U 3.14-3.17
Sb3 0.3333 0.6667 0.5000  2 Sb 3.06, 6 U 3.23
Sb4 0.2675 0.2675 0.7500  2 Nb 2.89, 3 U 3.14-3.17
Sb5 0.0000 0.7325 0.7500  2 Nb 2.89, 3 U 3.14-3.17
Sb6 0.2675 0.0000 0.2500  2 Nb 2.89, 3 U 3.14-3.17
Sb7 0.6667 0.3333 0.5000  2 Sb 3.06, 6 U 3.23
Sb8 0.7325 0.7325 0.2500  2 Nb 2.89, 3 U 3.14-3.17
Sb9 0.3333 0.6667 0.0000  2 Sb 3.06, 6 U 3.23
Sb10 0.0000 0.2675 0.2500  2 Nb 2.89, 3 U 3.14-3.17

Computed properties:
Symmetry: P6_3/mcm (193)

---

4.
Compound: ScNb
Source: Materials Project
Functional: PBE
Structure: relaxed

Cell lengths 3.0656, 3.0656, 5.0722 Å; angles 90.00, 90.00, 120.00 degrees
Last column: nearest neighbours and their distance in Å.
Element x y z (fractional)
Sc1 0.0000 0.0000 0.0000  6 Sc 3.07, 6 Nb 3.09
Nb1 0.3333 0.6667 0.5000  6 Nb 3.07, 6 Sc 3.09

Computed properties:
Total magnetization in μB per cell: 0.0
Symmetry: P-6m2 (187)

---

5.
Compound: Sc3Nb2Si4
Source: Materials Project
Functional: PBE
Structure: relaxed

Cell lengths 6.7400, 6.9875, 13.1666 Å; angles 90.00, 90.00, 90.00 degrees
Last column: nearest neighbours and their distance in Å.
Element x y z (fractional)
Sc1 0.1584 0.5058 0.7500  5 Si 2.62-2.81
Sc2 0.8416 0.4942 0.2500  5 Si 2.62-2.81
Sc3 0.3416 0.0058 0.2500  5 Si 2.62-2.81
Sc4 0.6584 0.9942 0.7500  5 Si 2.62-2.81
Sc5 0.3374 0.1740 0.6253  6 Si 2.59-2.77
Sc6 0.6626 0.8260 0.3747  6 Si 2.59-2.77
Sc7 0.1626 0.6740 0.3747  6 Si 2.59-2.77
Sc8 0.6626 0.8260 0.1253  6 Si 2.59-2.77
Sc9 0.8374 0.3260 0.6253  6 Si 2.59-2.77
Sc10 0.3374 0.1740 0.8747  6 Si 2.59-2.77
Sc11 0.8374 0.3260 0.8747  6 Si 2.59-2.77
Sc12 0.1626 0.6740 0.1253  6 Si 2.59-2.77
Nb1 0.0053 0.1803 0.0971  7 Si 2.74-3.03
Nb2 0.9947 0.8197 0.9029  7 Si 2.74-3.03
Nb3 0.4947 0.6803 0.9029  7 Si 2.74-3.03
Nb4 0.9947 0.8197 0.5971  7 Si 2.74-3.03
Nb5 0.5053 0.3197 0.0971  7 Si 2.74-3.03
Nb6 0.0053 0.1803 0.4029  7 Si 2.74-3.03
Nb7 0.5053 0.3197 0.4029  7 Si 2.74-3.03
Nb8 0.4947 0.6803 0.5971  7 Si 2.74-3.03
Si1 0.0330 0.0928 0.7500  1 Si 2.37, 1 Sc 2.62
Si2 0.9670 0.9072 0.2500  1 Si 2.37, 1 Sc 2.62
Si3 0.4670 0.5928 0.2500  1 Si 2.37, 1 Sc 2.62
Si4 0.5330 0.4072 0.7500  1 Si 2.37, 1 Sc 2.62
Si5 0.2884 0.8589 0.7500  1 Si 2.37, 1 Sc 2.62
Si6 0.7116 0.1411 0.2500  1 Si 2.37, 1 Sc 2.62
Si7 0.2116 0.3589 0.2500  1 Si 2.37, 1 Sc 2.62
Si8 0.7884 0.6411 0.7500  1 Si 2.37, 1 Sc 2.62
Si9 0.1744 0.4667 0.5376  4 Sc 2.59-2.81, 1 Si 2.59, 2 Nb 2.74-2.86
Si10 0.8256 0.5333 0.4624  4 Sc 2.59-2.81, 1 Si 2.59, 2 Nb 2.74-2.86
Si11 0.3256 0.9667 0.4624  4 Sc 2.59-2.81, 1 Si 2.59, 2 Nb 2.74-2.86
Si12 0.8256 0.5333 0.0376  4 Sc 2.59-2.81, 1 Si 2.59, 2 Nb 2.74-2.86
Si13 0.6744 0.0333 0.5376  4 Sc 2.59-2.81, 1 Si 2.59, 2 Nb 2.74-2.86
Si14 0.1744 0.4667 0.9624  4 Sc 2.59-2.81, 1 Si 2.59, 2 Nb 2.74-2.86
Si15 0.6744 0.0333 0.9624  4 Sc 2.59-2.81, 1 Si 2.59, 2 Nb 2.74-2.86
Si16 0.3256 0.9667 0.0376  4 Sc 2.59-2.81, 1 Si 2.59, 2 Nb 2.74-2.86

Computed properties:
Total magnetization in μB per cell: 0.0
Symmetry: Pnma (62)

---

6.
Compound: Sc2Nb3Si4
Source: Materials Project
Functional: PBE
Structure: relaxed

Cell lengths 6.7238, 6.9037, 13.1952 Å; angles 90.00, 90.00, 90.00 degrees
Last column: nearest neighbours and their distance in Å.
Element x y z (fractional)
Sc1 0.4987 0.6750 0.5951  7 Si 2.75-2.99
Sc2 0.9987 0.8250 0.9049  7 Si 2.75-2.99
Sc3 0.5013 0.3250 0.0951  7 Si 2.75-2.99
Sc4 0.0013 0.1750 0.4049  7 Si 2.75-2.99
Sc5 0.5013 0.3250 0.4049  7 Si 2.75-2.99
Sc6 0.0013 0.1750 0.0951  7 Si 2.75-2.99
Sc7 0.4987 0.6750 0.9049  7 Si 2.75-2.99
Sc8 0.9987 0.8250 0.5951  7 Si 2.75-2.99
Nb1 0.6605 0.1750 0.6252  6 Si 2.58-2.73
Nb2 0.1605 0.3250 0.8748  6 Si 2.58-2.73
Nb3 0.3395 0.8250 0.1252  6 Si 2.58-2.73
Nb4 0.8395 0.6750 0.3748  6 Si 2.58-2.73
Nb5 0.3395 0.8250 0.3748  6 Si 2.58-2.73
Nb6 0.8395 0.6750 0.1252  6 Si 2.58-2.73
Nb7 0.6605 0.1750 0.8748  6 Si 2.58-2.73
Nb8 0.1605 0.3250 0.6252  6 Si 2.58-2.73
Nb9 0.8354 0.4942 0.7500  6 Si 2.65-2.79
Nb10 0.3354 0.0058 0.7500  6 Si 2.65-2.79
Nb11 0.1646 0.5058 0.2500  6 Si 2.65-2.79
Nb12 0.6646 0.9942 0.2500  6 Si 2.65-2.79
Si1 0.6702 0.9668 0.4611  1 Si 2.55, 4 Nb 2.58-2.79, 2 Sc 2.75-2.82
Si2 0.1702 0.5332 0.0389  1 Si 2.55, 4 Nb 2.58-2.79, 2 Sc 2.75-2.82
Si3 0.3298 0.0332 0.9611  1 Si 2.55, 4 Nb 2.58-2.79, 2 Sc 2.75-2.82
Si4 0.8298 0.4668 0.5389  1 Si 2.55, 4 Nb 2.58-2.79, 2 Sc 2.75-2.82
Si5 0.3298 0.0332 0.5389  1 Si 2.55, 4 Nb 2.58-2.79, 2 Sc 2.75-2.82
Si6 0.8298 0.4668 0.9611  1 Si 2.55, 4 Nb 2.58-2.79, 2 Sc 2.75-2.82
Si7 0.6702 0.9668 0.0389  1 Si 2.55, 4 Nb 2.58-2.79, 2 Sc 2.75-2.82
Si8 0.1702 0.5332 0.4611  1 Si 2.55, 4 Nb 2.58-2.79, 2 Sc 2.75-2.82
Si9 0.4569 0.3866 0.7500  1 Si 2.44, 5 Nb 2.59-2.65
Si10 0.9569 0.1134 0.7500  1 Si 2.44, 5 Nb 2.59-2.65
Si11 0.5431 0.6134 0.2500  1 Si 2.44, 5 Nb 2.59-2.65
Si12 0.0431 0.8866 0.2500  1 Si 2.44, 5 Nb 2.59-2.65
Si13 0.7024 0.8616 0.7500  1 Si 2.44, 2 Nb 2.66-2.69
Si14 0.2024 0.6384 0.7500  1 Si 2.44, 2 Nb 2.66-2.69
Si15 0.2976 0.1384 0.2500  1 Si 2.44, 2 Nb 2.66-2.69
Si16 0.7976 0.3616 0.2500  1 Si 2.44, 2 Nb 2.66-2.69

Computed properties:
Symmetry: Pnma (62)

---

Per-record formation energy from the elements, eV per atom: -0.13 -0.20 -0.42 0.19 -0.58 -0.79